(1)
{
  "formula": "SbO2",
  "functional": "PBE-GGA",
  "state": "optimized geometry",
  "cell": [[3.231, 0.000, 0.000], [1.252, 8.087, 0.000], [1.232, 0.468, 8.349]],
  "species": ["Sb", "Sb", "Sb", "Sb", "O", "O", "O", "O", "O", "O", "O", "O"],
  "fractional_positions": [[0.188, 0.182, 0.483], [0.285, 0.564, 0.836], [0.715, 0.436, 0.164], [0.812, 0.818, 0.517], [0.135, 0.527, 0.273], [0.252, 0.776, 0.719], [0.300, 0.367, 0.008], [0.307, 0.948, 0.393], [0.693, 0.052, 0.607], [0.700, 0.633, 0.992], [0.748, 0.224, 0.281], [0.865, 0.473, 0.727]]
}

(2)
{
  "formula": "AgBrO4",
  "functional": "PBE-GGA",
  "state": "optimized geometry",
  "cell": [[5.844, 0.000, 0.000], [0.000, 8.670, 0.000], [-5.470, 0.000, 7.407]],
  "species": ["Ag", "Ag", "Ag", "Ag", "Br", "Br", "Br", "Br", "O", "O", "O", "O", "O", "O", "O", "O", "O", "O", "O", "O", "O", "O", "O", "O"],
  "fractional_positions": [[0.086, 0.033, 0.335], [0.086, 0.467, 0.835], [0.914, 0.533, 0.165], [0.914, 0.967, 0.665], [0.404, 0.686, 0.660], [0.404, 0.814, 0.160], [0.596, 0.186, 0.840], [0.596, 0.314, 0.340], [0.211, 0.651, 0.095], [0.211, 0.849, 0.595], [0.244, 0.555, 0.498], [0.244, 0.945, 0.998], [0.272, 0.224, 0.783], [0.272, 0.276, 0.283], [0.436, 0.622, 0.843], [0.436, 0.878, 0.343], [0.564, 0.122, 0.657], [0.564, 0.378, 0.157], [0.728, 0.724, 0.717], [0.728, 0.776, 0.217], [0.756, 0.055, 0.002], [0.756, 0.445, 0.502], [0.789, 0.151, 0.405], [0.789, 0.349, 0.905]]
}

(3)
{
  "formula": "PuNiC2",
  "functional": "PBE-GGA",
  "state": "optimized geometry",
  "cell": [[3.636, 0.000, 0.000], [0.000, 2.274, 3.012], [0.000, -2.274, 3.012]],
  "species": ["Pu", "Ni", "C", "C"],
  "fractional_positions": [[0.000, 0.000, 0.000], [0.500, 0.392, 0.392], [0.500, 0.547, 0.852], [0.500, 0.852, 0.547]]
}

(4)
{
  "formula": "Rb2Te5",
  "functional": "PBE-GGA",
  "state": "optimized geometry",
  "cell": [[5.848, -4.704, 0.000], [5.848, 4.704, 0.000], [-2.785, 0.000, 5.220]],
  "species": ["Rb", "Rb", "Te", "Te", "Te", "Te", "Te"],
  "fractional_positions": [[0.184, 0.184, 0.359], [0.816, 0.816, 0.641], [0.172, 0.643, 0.236], [0.357, 0.828, 0.764], [0.500, 0.500, 0.000], [0.643, 0.172, 0.236], [0.828, 0.357, 0.764]]
}

(5)
{
  "formula": "CaC4N6",
  "functional": "PBE-GGA",
  "state": "optimized geometry",
  "cell": [[6.381, -3.127, 0.000], [6.381, 3.127, 0.000], [-0.847, 0.000, 7.898]],
  "species": ["Ca", "Ca", "C", "C", "C", "C", "C", "C", "C", "C", "N", "N", "N", "N", "N", "N", "N", "N", "N", "N", "N", "N"],
  "fractional_positions": [[0.087, 0.913, 0.750], [0.913, 0.087, 0.250], [0.257, 0.286, 0.693], [0.286, 0.257, 0.193], [0.288, 0.543, 0.091], [0.457, 0.712, 0.409], [0.543, 0.288, 0.591], [0.712, 0.457, 0.909], [0.714, 0.743, 0.807], [0.743, 0.714, 0.307], [0.170, 0.198, 0.730], [0.198, 0.170, 0.230], [0.202, 0.729, 0.033], [0.271, 0.798, 0.467], [0.339, 0.399, 0.659], [0.399, 0.339, 0.159], [0.601, 0.661, 0.841], [0.661, 0.601, 0.341], [0.729, 0.202, 0.533], [0.798, 0.271, 0.967], [0.802, 0.830, 0.770], [0.830, 0.802, 0.270]]
}

(6)
{
  "formula": "CsK2IrF6",
  "functional": "PBE-GGA",
  "state": "optimized geometry",
  "cell": [[0.000, 4.779, 4.779], [4.779, 0.000, 4.779], [4.779, 4.779, 0.000]],
  "species": ["Cs", "K", "K", "Ir", "F", "F", "F", "F", "F", "F"],
  "fractional_positions": [[0.000, 0.000, 0.000], [0.250, 0.250, 0.250], [0.750, 0.750, 0.750], [0.500, 0.500, 0.500], [0.287, 0.287, 0.713], [0.287, 0.713, 0.287], [0.287, 0.713, 0.713], [0.713, 0.287, 0.287], [0.713, 0.287, 0.713], [0.713, 0.713, 0.287]]
}

(7)
{
  "formula": "UCu2Ge2",
  "functional": "PBE-GGA",
  "state": "optimized geometry",
  "cell": [[-2.016, 2.016, 5.184], [2.016, -2.016, 5.184], [2.016, 2.016, -5.184]],
  "species": ["U", "Cu", "Cu", "Ge", "Ge"],
  "fractional_positions": [[0.000, 0.000, 0.000], [0.250, 0.750, 0.500], [0.750, 0.250, 0.500], [0.381, 0.381, 0.000], [0.619, 0.619, 0.000]]
}

(8)
{
  "formula": "Ce3Th",
  "functional": "PBE-GGA",
  "state": "optimized geometry",
  "cell": [[-2.419, 2.419, 4.756], [2.419, -2.419, 4.756], [2.419, 2.419, -4.756]],
  "species": ["Ce", "Ce", "Ce", "Th"],
  "fractional_positions": [[0.000, 0.000, 0.000], [0.250, 0.750, 0.500], [0.750, 0.250, 0.500], [0.500, 0.500, 0.000]]
}

Here are the calculated formation energy numbers, same order: -5.03, -1.20, -0.39, -5.89, -2.91, -24.30, -0.51, 0.02 (eV per formula unit).